Record 1
First-principles (meta-GGA r2SCAN) data for Sr3Ga2Si3O12 after structural relaxation, as listed in Materials Project.

- Size of the total moment: 0.00 Bohr magnetons per cell
- E_form: -281.23 kJ/mol of atoms
- E_tot: -11.23 eV per atom
- Space group: Ia-3d, No. 230

```
Sr3Ga2Si3O12
1.0
3.308 1.502 10.014
-7.101 7.517 -2.559
-4.535 -9.602 -0.839
Sr Ga Si O
12 8 12 48
Direct
0.750 0.125 0.375 Sr
0.375 0.750 0.125 Sr
0.125 0.375 0.750 Sr
0.875 0.750 0.625 Sr
0.625 0.250 0.875 Sr
0.625 0.875 0.750 Sr
0.875 0.625 0.250 Sr
0.750 0.625 0.875 Sr
0.250 0.875 0.625 Sr
0.125 0.250 0.375 Sr
0.375 0.125 0.250 Sr
0.250 0.375 0.125 Sr
0.500 0.000 0.000 Ga
0.000 0.500 0.000 Ga
0.000 0.000 0.500 Ga
0.500 0.000 0.500 Ga
0.500 0.500 0.000 Ga
0.000 0.500 0.500 Ga
0.500 0.500 0.500 Ga
0.000 0.000 0.000 Ga
0.875 0.250 0.125 Si
0.125 0.875 0.250 Si
0.250 0.125 0.875 Si
0.125 0.750 0.875 Si
0.375 0.250 0.625 Si
0.875 0.125 0.750 Si
0.625 0.375 0.250 Si
0.750 0.875 0.125 Si
0.250 0.625 0.375 Si
0.750 0.375 0.625 Si
0.375 0.625 0.750 Si
0.625 0.750 0.375 Si
0.610 0.414 0.109 O
0.999 0.695 0.109 O
0.890 0.391 0.086 O
0.914 0.304 0.305 O
0.196 0.110 0.001 O
0.586 0.195 0.196 O
0.891 0.001 0.305 O
0.914 0.110 0.609 O
0.109 0.610 0.414 O
0.109 0.999 0.695 O
0.086 0.890 0.391 O
0.001 0.196 0.110 O
0.305 0.914 0.304 O
0.196 0.586 0.195 O
0.609 0.914 0.110 O
0.305 0.891 0.001 O
0.414 0.109 0.610 O
0.391 0.086 0.890 O
0.695 0.109 0.999 O
0.110 0.001 0.196 O
0.304 0.305 0.914 O
0.195 0.196 0.586 O
0.001 0.305 0.891 O
0.110 0.609 0.914 O
0.501 0.391 0.805 O
0.805 0.501 0.391 O
0.391 0.805 0.501 O
0.804 0.414 0.805 O
0.414 0.805 0.804 O
0.805 0.804 0.414 O
0.086 0.696 0.695 O
0.999 0.804 0.890 O
0.695 0.086 0.696 O
0.890 0.999 0.804 O
0.696 0.695 0.086 O
0.804 0.890 0.999 O
0.696 0.501 0.610 O
0.501 0.610 0.696 O
0.610 0.696 0.501 O
0.586 0.891 0.390 O
0.390 0.586 0.891 O
0.891 0.390 0.586 O
0.499 0.609 0.195 O
0.195 0.499 0.609 O
0.609 0.195 0.499 O
0.304 0.499 0.390 O
0.499 0.390 0.304 O
0.390 0.304 0.499 O
```

---

Record 2
First-principles (meta-GGA r2SCAN) data for Sm3Ga5O12 after structural relaxation, as listed in Materials Project.

- Size of the total moment: 0.00 Bohr magnetons per cell
- E_form: -269.60 kJ/mol of atoms
- E_tot: -13.70 eV per atom
- Space group: Ia-3d, No. 230

```
Sm3Ga5O12
1.0
-3.663 7.859 6.401
-7.712 -2.844 -6.970
2.748 -8.526 5.992
Sm Ga O
12 20 48
Direct
0.875 0.750 0.625 Sm
0.875 0.625 0.250 Sm
0.625 0.875 0.750 Sm
0.250 0.875 0.625 Sm
0.750 0.625 0.875 Sm
0.625 0.250 0.875 Sm
0.125 0.250 0.375 Sm
0.125 0.375 0.750 Sm
0.375 0.125 0.250 Sm
0.750 0.125 0.375 Sm
0.250 0.375 0.125 Sm
0.375 0.750 0.125 Sm
0.125 0.750 0.875 Ga
0.875 0.250 0.125 Ga
0.750 0.375 0.625 Ga
0.125 0.875 0.250 Ga
0.250 0.125 0.875 Ga
0.375 0.625 0.750 Ga
0.375 0.250 0.625 Ga
0.875 0.125 0.750 Ga
0.625 0.375 0.250 Ga
0.750 0.875 0.125 Ga
0.250 0.625 0.375 Ga
0.625 0.750 0.375 Ga
0.500 0.000 0.500 Ga
0.000 0.500 0.000 Ga
0.500 0.500 0.500 Ga
0.000 0.000 0.500 Ga
0.000 0.000 0.000 Ga
0.000 0.500 0.500 Ga
0.500 0.500 0.000 Ga
0.500 0.000 0.000 Ga
0.583 0.905 0.380 O
0.380 0.583 0.905 O
0.297 0.322 0.917 O
0.476 0.595 0.178 O
0.322 0.905 0.024 O
0.120 0.024 0.203 O
0.380 0.297 0.476 O
0.905 0.380 0.583 O
0.178 0.203 0.583 O
0.476 0.380 0.297 O
0.905 0.024 0.322 O
0.595 0.917 0.120 O
0.917 0.120 0.595 O
0.297 0.476 0.380 O
0.583 0.178 0.203 O
0.203 0.583 0.178 O
0.024 0.322 0.905 O
0.917 0.297 0.322 O
0.024 0.203 0.120 O
0.822 0.797 0.417 O
0.178 0.476 0.595 O
0.595 0.178 0.476 O
0.203 0.120 0.024 O
0.120 0.595 0.917 O
0.417 0.095 0.620 O
0.620 0.417 0.095 O
0.703 0.678 0.083 O
0.524 0.405 0.822 O
0.678 0.095 0.976 O
0.880 0.976 0.797 O
0.620 0.703 0.524 O
0.095 0.620 0.417 O
0.880 0.405 0.083 O
0.797 0.880 0.976 O
0.405 0.822 0.524 O
0.678 0.083 0.703 O
0.822 0.524 0.405 O
0.976 0.797 0.880 O
0.083 0.703 0.678 O
0.976 0.678 0.095 O
0.797 0.417 0.822 O
0.417 0.822 0.797 O
0.703 0.524 0.620 O
0.083 0.880 0.405 O
0.405 0.083 0.880 O
0.095 0.976 0.678 O
0.524 0.620 0.703 O
0.322 0.917 0.297 O
```